Material: BaW6O18
Method: DFT, r²SCAN
State: optimized geometry

Output
symmetry	No. 12
DFT formation energy	-233.8	kJ per mole of atoms

```
50
Lattice="3.822 10.038 0.000 -3.822 10.038 0.000 0.000 0.002 8.858" Properties=species:S:1:pos:R:3 pbc="T T T"
W 1.910 14.432 1.831
W 1.910 5.647 7.028
W -1.899 12.540 5.010
W -1.910 14.432 1.831
W 1.887 9.397 7.042
W -1.887 9.397 7.042
W -1.899 7.539 3.849
W 1.899 7.539 3.849
W -1.887 10.682 1.818
W -1.910 5.647 7.028
W 1.899 12.540 5.010
W 1.887 10.682 1.818
O 0.000 2.605 5.140
O 1.828 6.189 2.456
O 1.891 13.842 3.629
O 2.019 8.817 5.238
O 2.019 11.262 3.621
O 1.982 8.885 2.456
O 0.000 14.543 1.805
O -1.828 13.890 6.403
O -1.817 10.038 0.000
O -1.852 12.554 1.293
O 1.852 7.525 7.566
O 1.982 11.194 6.403
O 1.891 6.237 5.230
O -2.019 11.262 3.621
O -1.982 11.194 6.403
O 0.000 5.536 7.054
O 0.000 10.666 1.919
O 0.000 0.674 1.602
O -1.891 6.237 5.230
O 0.000 7.634 3.864
O -1.852 7.525 7.566
O 0.000 19.405 7.257
O 0.000 9.413 6.940
O 1.828 13.890 6.403
O -1.828 6.189 2.456
O -1.911 5.019 0.000
O 0.000 15.808 7.121
O 1.852 12.554 1.293
O 0.000 17.474 3.719
O 1.911 5.019 0.000
O -1.891 13.842 3.629
O -1.982 8.885 2.456
O 0.000 4.271 1.738
O -2.019 8.817 5.238
O 0.000 12.445 4.995
O 1.817 10.038 0.000
Ba 0.000 2.545 8.096
Ba 0.000 17.534 0.763
```